Sc2Se3O9 PBE-GGA relaxed; DFT total energy = -93.14 eV per formula unit; symmetry = P6_3/m (176); energy of formation from the pure elements = -31.6 eV/f.u.
1.0
-7.596 0.226 -3.458
1.954 -6.070 5.390
-2.554 4.418 5.900
Sc Se O
4 6 18
Cartesian
-1.346 -3.770 2.710
-5.806 0.538 2.711
-6.851 2.344 5.123
-2.390 -1.964 5.122
-3.390 1.514 5.134
-2.902 0.970 0.596
-0.751 -1.092 8.228
-7.446 -0.334 -0.395
-4.806 -2.939 2.699
-5.294 -2.395 7.237
-3.966 0.945 1.932
-3.471 1.565 6.839
-2.174 -0.406 8.876
-6.903 0.503 0.991
-5.606 -1.467 3.028
-5.112 -0.848 7.935
-4.231 -2.371 5.901
-4.726 -2.990 0.994
-6.023 -1.020 -1.043
-1.293 -1.929 6.841
-0.631 -1.962 3.774
-6.372 2.663 2.983
-5.048 1.123 4.709
-3.148 -2.549 3.124
-1.824 -4.089 4.850
-7.565 0.537 4.058
-3.085 -0.578 -0.102
-2.590 0.042 4.805

---

Sc2Se3O10 PBE-GGA relaxed; DFT total energy = -95.01 eV per formula unit; symmetry = P2_12_12_1 (19); energy above the most stable polymorph in this dataset = 215 meV per atom; energy of formation from the pure elements = -29.2 eV/f.u.
1.0
-0.610 -4.909 4.478
11.150 -1.936 -0.604
1.935 8.241 9.299
Sc Se O
8 12 40
Cartesian
1.365 3.127 5.724
10.510 -3.128 0.862
5.581 -0.392 7.412
7.494 3.186 12.346
10.745 -0.599 7.983
0.728 -3.431 4.074
7.340 1.304 4.635
6.138 5.519 9.652
8.069 -1.920 5.986
4.491 2.521 11.297
10.038 2.808 6.466
2.352 -0.616 2.596
2.199 0.052 7.276
10.773 2.309 11.994
4.767 2.844 5.714
7.210 -2.412 1.361
10.158 -0.226 2.858
2.740 4.581 8.644
7.986 1.408 9.325
4.066 -2.970 5.518
7.113 -2.495 7.327
5.590 3.709 10.648
10.736 1.308 7.018
1.510 0.271 1.353
7.343 -0.323 6.120
5.535 2.279 12.693
10.950 2.710 4.964
1.122 -1.873 2.568
9.611 -1.690 6.648
3.218 3.442 11.933
8.471 2.380 5.984
3.649 -1.338 1.780
3.666 0.345 8.095
7.687 -4.883 3.390
3.263 2.256 5.164
10.333 5.075 9.697
1.437 1.629 7.262
9.880 -6.321 4.049
5.730 2.884 4.251
7.903 4.600 10.782
1.104 -0.447 8.527
12.001 3.372 11.378
5.623 1.419 6.217
6.221 -1.551 0.222
11.522 -0.173 3.890
1.686 5.848 9.103
6.525 0.577 9.003
5.217 -3.460 4.350
10.032 -1.909 2.527
2.445 4.472 6.953
7.923 1.579 11.035
4.549 -1.349 5.829
8.833 -0.040 3.953
4.289 5.349 8.625
9.179 0.164 9.195
2.649 -2.680 4.571
12.033 0.042 9.615
0.000 -1.680 5.142
5.958 -0.081 3.682
6.957 4.512 7.906

---

ScSe2O10 PBE-GGA relaxed; DFT total energy = -70.23 eV per formula unit; symmetry = P-1 (2); energy of formation from the pure elements = -14.3 eV/f.u.
1.0
-2.411 1.419 4.532
-1.612 -3.988 3.181
6.458 0.404 6.104
Sc Se O
1 2 10
Cartesian
0.000 0.000 0.000
3.569 -0.555 8.047
-1.134 -1.611 5.770
3.138 0.406 9.346
3.469 -2.153 8.529
-0.703 -2.572 4.471
-1.034 -0.013 5.288
2.535 -0.324 6.748
-0.100 -1.841 7.069
5.148 -0.192 7.619
-2.713 -1.973 6.198
2.689 0.392 3.961
-0.254 -2.557 9.856

---

Sc2Se3O10 PBE-GGA relaxed; DFT total energy = -98.23 eV per formula unit; symmetry = P2_1/c (14); energy above the most stable polymorph in this dataset = 0 meV per atom; energy of formation from the pure elements = -32.5 eV/f.u.
1.0
-8.031 -3.154 6.908
4.400 -0.336 4.961
-0.325 11.889 5.050
Sc Se O
8 12 40
Cartesian
-6.080 4.300 9.790
0.478 9.461 10.929
2.124 4.099 7.129
-4.434 -1.062 5.990
-2.601 3.875 11.234
-0.814 10.745 7.605
-1.355 4.524 5.685
-3.142 -2.345 9.314
-5.007 4.430 13.349
-2.640 8.528 9.130
1.051 3.969 3.570
-1.316 -0.129 7.789
-3.739 3.413 7.910
2.275 -0.043 4.481
-0.217 4.987 9.010
-6.231 8.443 12.438
-1.664 6.920 12.703
-0.834 8.060 5.347
-2.292 1.479 4.216
-3.123 0.339 11.572
-3.307 3.974 13.278
-2.670 9.640 7.764
-0.650 4.425 3.641
-1.286 -1.241 9.155
2.275 6.094 6.733
-3.564 9.361 10.277
-6.231 2.305 10.186
-0.392 -0.961 6.642
-5.084 4.628 11.632
-1.003 8.942 9.505
1.128 3.771 5.287
-2.953 -0.543 7.414
-3.841 4.104 9.515
0.772 10.652 9.025
-0.115 4.295 7.404
-4.729 -2.253 7.894
-5.439 3.706 7.683
2.507 -0.913 5.970
1.483 4.693 9.236
-6.463 9.312 10.949
-2.952 4.658 7.063
-4.752 8.278 15.465
-1.005 3.742 9.856
0.796 0.121 1.454
-2.176 5.977 11.405
-0.074 9.100 6.432
-1.780 2.422 5.514
-3.882 -0.701 10.487
-5.653 6.345 9.073
2.002 8.183 9.969
1.697 2.054 7.846
-5.958 0.217 6.950
-2.922 7.926 13.117
-0.863 6.549 6.040
-1.034 0.473 3.802
-3.093 1.850 10.879
-0.353 7.805 12.195
0.068 8.044 3.951
-3.603 0.594 4.724
-4.024 0.355 12.968

---

ScSe3O9 PBE-GGA relaxed; DFT total energy = -74.25 eV per formula unit; symmetry = Cc (9); energy of formation from the pure elements = -19.1 eV/f.u.
1.0
4.876 5.924 0.000
-4.876 5.924 0.000
0.000 1.082 7.657
Sc Se O
2 6 18
Cartesian
-2.467 6.898 7.436
2.467 6.357 3.607
-0.896 3.493 2.027
0.896 4.034 5.855
-3.754 5.922 4.312
3.754 5.381 0.484
0.577 8.280 6.123
-0.577 7.739 2.294
-1.798 4.048 0.689
1.798 4.589 4.517
3.288 7.931 2.475
-3.288 8.472 6.303
0.664 3.217 1.524
-0.664 3.758 5.353
-3.120 5.659 5.865
3.120 5.118 2.037
4.327 6.098 4.578
-4.327 5.557 0.749
1.451 10.493 3.400
-1.451 11.034 7.229
-0.599 7.093 6.449
0.599 6.552 2.621
1.785 7.462 5.258
-1.785 6.921 1.429
1.238 8.751 7.590
-1.238 8.210 3.762

---

Sc2SiO5 PBE-GGA relaxed; DFT total energy = -69.02 eV per formula unit; symmetry = C2/c (15); energy of formation from the pure elements = -29.6 eV/f.u.
1.0
0.000 -6.484 0.000
5.917 -3.242 -3.610
5.892 -3.242 6.302
Sc Si O
8 4 20
Cartesian
6.369 -8.061 0.826
5.441 -4.907 1.865
5.453 -8.061 -3.091
6.356 -4.907 5.782
4.259 -5.696 -1.031
7.550 -7.272 3.722
7.563 -5.696 -1.234
4.247 -7.272 3.925
2.158 -5.863 1.731
9.652 -7.105 0.960
3.747 -2.621 -0.385
8.062 -10.346 3.077
7.366 -7.801 -1.154
4.444 -5.167 3.845
4.456 -7.801 -1.111
7.353 -5.167 3.802
5.706 -5.828 -2.468
6.104 -7.140 5.159
6.116 -5.828 0.203
5.693 -7.140 2.488
3.557 -5.489 0.978
8.252 -7.479 1.713
2.348 -2.247 0.368
9.461 -10.721 2.323
3.504 -3.758 -1.533
8.305 -9.210 4.224
8.318 -10.241 -0.732
3.491 -2.726 3.423
0.988 -6.367 0.706
10.822 -6.601 1.985
4.917 -3.125 0.639
6.892 -9.843 2.052

---

Sc2Si2O7 PBE-GGA relaxed; DFT total energy = -92.09 eV per formula unit; symmetry = Fd-3m (227); energy above the most stable polymorph in this dataset = 85 meV per atom; energy of formation from the pure elements = -38.7 eV/f.u.
1.0
-1.988 -2.167 5.939
-5.308 2.702 2.907
-5.611 -3.484 0.548
Sc Si O
4 4 14
Cartesian
-5.261 -0.102 5.597
-5.413 -3.195 4.418
-7.073 -0.760 2.902
-8.067 -1.844 5.871
-4.419 -2.111 1.448
-4.267 0.982 2.628
-2.608 -1.452 4.144
-1.613 -0.369 1.174
-3.684 -2.402 3.062
-5.765 1.037 3.620
-3.563 0.063 4.002
-5.007 -0.461 1.853
-1.447 -1.014 2.844
-2.891 -1.538 0.694
-6.960 -0.267 7.192
-5.947 -2.683 2.202
-9.680 -2.212 7.045
-6.454 -1.475 4.697
-2.770 0.927 1.635
-3.768 -1.891 5.444
-9.139 -1.058 3.950
-7.143 -3.987 5.773

---

Sc2Si2O7 PBE-GGA relaxed; DFT total energy = -93.02 eV per formula unit; symmetry = C2/m (12); energy above the most stable polymorph in this dataset = 0 meV per atom; energy of formation from the pure elements = -39.7 eV/f.u.
1.0
2.816 -2.249 3.074
-4.185 -3.412 0.211
1.382 -4.148 -3.175
Sc Si O
2 2 7
Cartesian
-0.870 -2.346 -0.920
-1.933 -5.215 -2.044
1.282 -4.898 -1.168
-1.269 -4.911 1.278
-1.099 -6.549 1.373
0.229 -5.642 -2.196
1.112 -3.261 -1.263
-0.216 -4.168 2.307
1.408 -1.125 1.537
-1.199 -4.333 -0.263
1.212 -5.477 0.373

---

ScSiO3 PBE-GGA relaxed; DFT total energy = -38.36 eV per formula unit; symmetry = Pm-3m (221); energy of formation from the pure elements = -13.8 eV/f.u.
1.0
3.582 0.000 0.000
0.000 3.582 0.000
0.000 0.000 3.582
Sc Si O
1 1 3
Cartesian
0.000 0.000 0.000
1.791 1.791 1.791
1.791 1.791 0.000
1.791 0.000 1.791
0.000 1.791 1.791

---

SrSc4Si5O17 PBE-GGA relaxed; DFT total energy = -223.08 eV per formula unit; symmetry = P2_1/m (11); energy of formation from the pure elements = -96.5 eV/f.u.
1.0
19.451 0.000 0.000
0.000 5.333 0.000
0.000 1.891 6.357
Sr Sc Si O
2 8 10 34
Cartesian
4.863 5.562 4.941
14.588 1.662 1.416
0.739 3.925 0.712
10.464 3.299 5.645
18.712 3.299 5.645
8.987 3.925 0.712
3.111 2.785 2.938
12.836 4.439 3.419
16.340 4.439 3.419
6.615 2.785 2.938
4.863 5.491 1.642
14.588 1.733 4.715
2.587 3.116 6.263
12.312 4.108 0.095
16.864 4.108 0.095
7.139 3.116 6.263
1.231 5.396 3.754
10.957 1.828 2.603
18.220 1.828 2.603
8.494 5.396 3.754
4.863 1.547 2.515
14.588 5.677 3.842
4.863 4.167 2.596
14.588 3.057 3.762
3.568 5.403 0.629
13.294 1.821 5.728
15.883 1.821 5.728
6.157 5.403 0.629
3.324 3.524 4.871
13.050 3.700 1.487
16.127 3.700 1.487
6.401 3.524 4.871
1.158 2.319 6.147
10.883 4.905 0.211
18.293 4.905 0.211
8.568 2.319 6.147
2.480 2.522 0.921
12.205 4.702 5.436
16.971 4.702 5.436
7.246 2.522 0.921
2.566 6.326 3.827
12.292 0.898 2.530
16.885 0.898 2.530
7.159 6.326 3.827
0.687 4.826 5.206
10.412 2.398 1.152
18.764 2.398 1.152
9.039 4.826 5.206
0.000 0.946 3.179
9.725 0.946 3.179
1.468 4.143 2.694
11.194 3.081 3.664
17.983 3.081 3.664
8.257 4.143 2.694

---

YScSi2O7 PBE-GGA relaxed; DFT total energy = -93.47 eV per formula unit; symmetry = C2 (5); energy of formation from the pure elements = -40.0 eV/f.u.
1.0
4.395 3.380 0.000
-4.395 3.380 0.000
0.000 0.976 4.641
Y Sc Si O
1 1 2 7
Cartesian
4.385 3.380 0.000
-1.014 3.380 0.000
1.756 2.291 1.911
1.756 5.444 2.730
-1.337 5.255 0.987
-1.337 2.481 3.653
2.012 3.868 2.320
-2.653 2.877 1.310
-2.653 4.859 3.330
0.369 2.126 1.036
0.369 5.609 3.605

---

SmScO3 PBE-GGA relaxed; DFT total energy = -43.44 eV per formula unit; symmetry = Pnma (62); energy of formation from the pure elements = -19.6 eV/f.u.
1.0
-3.176 -4.537 -0.404
4.762 -3.334 0.004
-0.340 -0.477 8.023
Sm Sc O
4 4 12
Cartesian
-3.092 -5.012 5.620
0.482 -3.777 1.812
0.765 -4.571 5.810
4.339 -3.335 2.002
2.211 -1.905 4.014
-1.758 -2.507 3.809
-1.588 -2.268 -0.202
2.381 -1.667 0.002
-0.956 -4.433 4.231
0.169 -1.751 3.434
0.950 -6.775 7.202
2.330 -3.735 0.379
2.203 -3.914 3.392
1.078 -6.596 4.189
0.296 -1.572 0.421
-1.084 -4.612 7.244
-0.277 -5.945 1.651
3.068 -5.265 5.867
-1.822 -3.083 1.756
1.523 -2.402 5.971